# 1
! Nb6InSe8, optimized geometry, DFT PBE; values from VASP
! ΔE_f: -1.0400 eV per atom
&SYSTEM
  ibrav = 0, nat = 15, ntyp = 3
/
ATOMIC_SPECIES
Se 78.96 Se.upf
Nb 92.91 Nb.upf
In 114.82 In.upf
ATOMIC_POSITIONS crystal
Se 0.341 0.281 0.500
Nb 0.382 0.489 0.000
Nb 0.487 0.107 0.500
Nb 0.511 0.893 0.000
Se 0.661 0.721 0.000
Se 0.719 0.060 0.500
Se 0.279 0.940 0.000
Nb 0.107 0.618 0.000
In 0.000 0.000 0.500
Se 0.333 0.667 0.500
Se 0.060 0.339 0.000
Nb 0.620 0.513 0.500
Nb 0.893 0.380 0.500
Se 0.940 0.659 0.500
Se 0.667 0.333 0.000
CELL_PARAMETERS angstrom
2.540 7.481 -6.451
-8.217 -5.754 -1.845
-1.979 2.242 1.821



# 2
! SiC, optimized geometry, DFT PBE; values from VASP
! energy above the most stable polymorph in this dataset: 0 meV/atom
! ΔE_f: -0.2036 eV per atom
&SYSTEM
  ibrav = 0, nat = 32, ntyp = 2
/
ATOMIC_SPECIES
Si 28.09 Si.upf
C 12.01 C.upf
ATOMIC_POSITIONS crystal
Si 0.667 0.333 0.312
C 0.333 0.667 0.047
Si 0.667 0.333 0.500
C 0.333 0.667 0.609
Si 0.333 0.667 0.437
C 0.667 0.333 0.547
C 0.000 0.000 0.172
Si 0.333 0.667 0.812
Si 0.000 0.000 0.875
C 0.333 0.667 0.859
Si 0.333 0.667 0.187
Si 0.667 0.333 0.687
Si 0.333 0.667 0.563
C 0.333 0.667 0.234
C 0.000 0.000 0.422
Si 0.000 0.000 0.750
C 0.667 0.333 0.359
C 0.000 0.000 0.797
Si 0.667 0.333 0.937
Si 0.667 0.333 0.063
Si 0.000 0.000 0.125
C 0.000 0.000 0.922
Si 0.000 0.000 0.250
C 0.667 0.333 0.984
C 0.667 0.333 0.109
Si 0.333 0.667 0.000
C 0.000 0.000 0.297
Si 0.000 0.000 0.375
C 0.000 0.000 0.672
C 0.667 0.333 0.734
C 0.333 0.667 0.484
Si 0.000 0.000 0.625
CELL_PARAMETERS angstrom
1.547 -2.680 0.000
1.547 2.680 0.000
0.000 0.000 40.483



# 3
! NiGe3, optimized geometry, DFT PBE; values from VASP
! ΔE_f: 0.2608 eV per atom
&SYSTEM
  ibrav = 0, nat = 4, ntyp = 2
/
ATOMIC_SPECIES
Ge 72.64 Ge.upf
Ni 58.69 Ni.upf
ATOMIC_POSITIONS crystal
Ge 0.750 0.250 0.500
Ge 0.250 0.750 0.500
Ni 0.000 0.000 0.000
Ge 0.500 0.500 0.000
CELL_PARAMETERS angstrom
-2.054 2.054 3.851
2.054 -2.054 3.851
2.054 2.054 -3.851



- ΔE_f of number 2 (SiC)?
  -0.2036 eV per atom